Below is crystalline K2TlRhF6 at its relaxed geometry, with properties calculated at the PBE level.

The structure in POSCAR format:
```
K2TlRhF6
1.0
0.0000 4.5922 4.5922
4.5922 0.0000 4.5922
4.5922 4.5922 0.0000
K Tl Rh F
2 1 1 6
Cartesian
2.2961 2.2961 2.2961 K
6.8883 6.8883 6.8883 K
0.0000 0.0000 0.0000 Tl
4.5922 4.5922 4.5922 Rh
4.5922 4.5922 2.5734 F
4.5922 2.5734 4.5922 F
6.6111 4.5922 4.5922 F
2.5734 4.5922 4.5922 F
4.5922 6.6111 4.5922 F
4.5922 4.5922 6.6111 F
```

Computed properties:
For the formation energy, the calculation gives -2376 meV/atom. Its total energy is -4.442 eV per atom.

Below is crystalline K3RuF6 at its relaxed geometry, with properties calculated at the PBE level.

The structure in POSCAR format:
```
K3RuF6
1.0
0.0000 4.5115 4.5115
4.5115 0.0000 4.5115
4.5115 4.5115 0.0000
K Ru F
3 1 6
Cartesian
0.0000 0.0000 0.0000 K
2.2557 2.2557 2.2557 K
6.7672 6.7672 6.7672 K
4.5115 4.5115 4.5115 Ru
4.5115 4.5115 2.4907 F
4.5115 2.4907 4.5115 F
6.5322 4.5115 4.5115 F
2.4907 4.5115 4.5115 F
4.5115 6.5322 4.5115 F
4.5115 4.5115 6.5322 F
```

Computed properties:
For the formation energy, the calculation gives -2587 meV/atom. Its total energy is -4.719 eV per atom.

Below is crystalline K3RuF12 at its relaxed geometry, with properties calculated at the PBE level.

The structure in POSCAR format:
```
K3RuF12
1.0
4.4969 -6.6796 0.0000
4.4969 6.6796 0.0000
-0.6825 0.0000 6.8032
K Ru F
3 1 12
Cartesian
0.0000 0.0000 0.0000 K
1.9072 3.3398 3.4016 K
1.9072 -3.3398 3.4016 K
-0.3413 0.0000 3.4016 Ru
0.8868 1.1660 2.2719 F
0.7437 1.1718 4.6130 F
0.8868 -1.1660 2.2719 F
0.7437 -1.1718 4.6130 F
3.4459 1.3075 3.0628 F
4.8654 1.3075 3.7403 F
3.4459 -1.3075 3.0628 F
4.8654 -1.3075 3.7403 F
7.5676 1.1718 2.1901 F
7.4245 1.1660 4.5313 F
7.5676 -1.1718 2.1901 F
7.4245 -1.1660 4.5313 F
```

Computed properties:
For the formation energy, the calculation gives -1903 meV/atom. Its total energy is -3.781 eV per atom.